[1]
## Li4Nb3Co3Te2O16 (GGA+U)

Data for a geometry-optimized Li4Nb3Co3Te2O16 structure.

Calculated values
Final energy   -379.45 eV for the cell shown
Formation energy from the elements   -60.9 eV/f.u.

abc: 6.1044 10.6990 12.1112
angles: 115.33 75.46 89.94
Sites, in units of the cell vectors:
O  0.8259  0.6497  0.8271
O  0.1999  0.4502  0.5974
Li  0.2580  0.7357  0.4842
O  0.6999  0.9502  0.5974
O  0.0912  0.4218  0.8185
Co  0.1488  0.0210  0.2147
O  0.3472  0.6497  0.8270
O  0.1013  0.9128  0.3339
Te  0.2524  0.1114  0.4956
O  0.1971  0.6382  0.1026
O  0.5961  0.4051  0.8086
Co  0.1453  0.6683  0.7104
Nb  0.8879  0.9569  0.7185
Li  0.7999  0.8631  0.4005
Li  0.0465  0.2887  0.9065
Nb  0.8827  0.2982  0.2347
O  0.9557  0.2263  0.5899
O  0.5912  0.9218  0.8185
Co  0.6453  0.1683  0.7104
O  0.8506  0.1555  0.2995
O  0.8245  0.6586  0.3516
O  0.4450  0.8768  0.1077
O  0.3245  0.1586  0.3515
Nb  0.3827  0.7982  0.2347
O  0.0960  0.9051  0.8086
Co  0.6366  0.0210  0.2146
Te  0.7524  0.6114  0.4956
O  0.3259  0.1497  0.8270
O  0.6979  0.4467  0.6043
O  0.1979  0.9467  0.6043
O  0.9548  0.7268  0.5899
Te  0.4907  0.1814  0.0183
O  0.9455  0.3767  0.1077
O  0.9499  0.8853  0.1008
Co  0.1366  0.5209  0.2146
Nb  0.3879  0.4569  0.7185
Li  0.0023  0.9976  0.9960
O  0.7004  0.6383  0.1028
Li  0.2999  0.3631  0.4005
Nb  0.3920  0.9569  0.7191
O  0.0662  0.4120  0.3332
Li  0.7581  0.2358  0.4842
O  0.6012  0.4128  0.3338
O  0.8471  0.1496  0.8270
Li  0.5465  0.7887  0.9065
O  0.6971  0.1381  0.1026
O  0.3502  0.6556  0.2996
Li  0.5022  0.4976  0.9959
O  0.2004  0.1383  0.1028
Nb  0.8920  0.4570  0.7191
O  0.4498  0.3853  0.1007
O  0.4547  0.2268  0.5898
Te  0.9907  0.6814  0.0184
Co  0.6487  0.5210  0.2147
O  0.5665  0.9119  0.3331
O  0.4555  0.7263  0.5899

---

[2]
## SrLa3Ti2Co2O12 (GGA+U)

Data for a geometry-optimized SrLa3Ti2Co2O12 structure.

Calculated values
SG   P-4m2 (115)
Final energy   -156.76 eV for the cell shown
Formation energy from the elements   -62.4 eV/f.u.

abc: 5.5630 5.5630 7.8786
angles: 90.00 90.00 90.00
Sites, in units of the cell vectors:
O  0.5000  0.0000  0.5004
La  0.0000  0.0000  0.5000
O  0.2445  0.7525  0.7430
La  0.5000  0.5000  0.5000
O  0.0000  0.5000  0.0024
O  0.7525  0.7555  0.2570
O  0.7525  0.2445  0.2570
O  0.0000  0.5000  0.4996
La  0.0000  0.0000  0.0000
O  0.2475  0.2445  0.2570
O  0.2475  0.7555  0.2570
O  0.2445  0.2475  0.7430
O  0.5000  0.0000  0.9976
O  0.7555  0.2475  0.7430
Sr  0.5000  0.5000  0.0000
Ti  0.0000  0.5000  0.7515
Co  0.0000  0.5000  0.2508
Ti  0.5000  0.0000  0.2485
Co  0.5000  0.0000  0.7492
O  0.7555  0.7525  0.7430

---

[3]
## Li2CrO4 (GGA+U)

Data for a geometry-optimized Li2CrO4 structure.

Calculated values
SG   R-3 (148)
Final energy   -258.80 eV for the cell shown
Formation energy from the elements   -14.6 eV/f.u.

abc: 8.7893 8.7893 8.7893
angles: 107.74 107.74 107.74
Sites, in units of the cell vectors:
Li  0.9390  0.1123  0.7052
O  0.4295  0.0708  0.7414
O  0.5245  0.1927  0.4730
Li  0.2236  0.6226  0.3959
Cr  0.2657  0.4477  0.0405
O  0.5705  0.9292  0.2586
Li  0.3959  0.2236  0.6226
Li  0.0610  0.8877  0.2948
O  0.1429  0.1360  0.4642
O  0.1009  0.8100  0.7646
Li  0.7764  0.3774  0.6041
O  0.2586  0.5705  0.9292
O  0.8571  0.8640  0.5358
O  0.1900  0.2354  0.8991
O  0.0708  0.7414  0.4295
Cr  0.5523  0.9595  0.7343
O  0.1360  0.4642  0.1429
O  0.2354  0.8991  0.1900
O  0.8073  0.5270  0.4755
O  0.4642  0.1429  0.1360
O  0.4730  0.5245  0.1927
Li  0.2948  0.0610  0.8877
Cr  0.9595  0.7343  0.5523
O  0.9292  0.2586  0.5705
Li  0.3774  0.6041  0.7764
O  0.5358  0.8571  0.8640
Li  0.6041  0.7764  0.3774
O  0.8991  0.1900  0.2354
O  0.4755  0.8073  0.5270
Cr  0.7343  0.5523  0.9595
Cr  0.0405  0.2657  0.4477
Li  0.6226  0.3959  0.2236
O  0.1927  0.4730  0.5245
Cr  0.4477  0.0405  0.2657
O  0.7414  0.4295  0.0708
Li  0.8877  0.2948  0.0610
O  0.8640  0.5358  0.8571
O  0.7646  0.1009  0.8100
O  0.8100  0.7646  0.1009
Li  0.1123  0.7052  0.9390
Li  0.7052  0.9390  0.1123
O  0.5270  0.4755  0.8073

---

[4]
## Ni3Mo2SeO11 (GGA+U)

Data for a geometry-optimized Ni3Mo2SeO11 structure.

Calculated values
SG   P-1 (2)
Final energy   -205.44 eV for the cell shown
Formation energy from the elements   -27.3 eV/f.u.

abc: 6.5499 6.5528 10.1669
angles: 74.07 86.37 84.81
Sites, in units of the cell vectors:
O  0.5656  0.4861  0.1910
O  0.1269  0.8300  0.8049
O  0.1682  0.5046  0.0848
O  0.7178  0.8521  0.6746
O  0.8318  0.4954  0.9152
O  0.5116  0.8626  0.9134
O  0.5851  0.8440  0.3238
O  0.4884  0.1374  0.0866
Ni  0.5366  0.8048  0.1266
O  0.2971  0.4914  0.4431
O  0.4344  0.5139  0.8090
O  0.3749  0.8501  0.5643
O  0.9702  0.8188  0.4435
Mo  0.6103  0.2083  0.2336
O  0.6251  0.1499  0.4357
Ni  0.4634  0.1952  0.8734
Ni  0.2715  0.8137  0.3862
Mo  0.7124  0.7866  0.4994
O  0.2822  0.1479  0.3254
O  0.8531  0.8082  0.0706
Se  0.0314  0.6446  0.1803
Ni  0.1679  0.1780  0.1296
Ni  0.7285  0.1863  0.6138
O  0.1469  0.1918  0.9294
O  0.7029  0.5086  0.5569
O  0.7827  0.1661  0.8152
Se  0.9686  0.3554  0.8197
Mo  0.2876  0.2134  0.5006
O  0.8731  0.1700  0.1951
Ni  0.8321  0.8220  0.8704
O  0.0298  0.1812  0.5565
O  0.2173  0.8339  0.1848
Mo  0.3897  0.7917  0.7664
O  0.4149  0.1560  0.6762

---

[5]
## V3OF11 (GGA+U)

Data for a geometry-optimized V3OF11 structure.

Calculated values
SG   P-1 (2)
Final energy   -148.11 eV for the cell shown
Formation energy from the elements   -31.7 eV/f.u.

abc: 5.1989 5.3510 15.0292
angles: 100.25 89.73 91.63
Sites, in units of the cell vectors:
F  0.6897  0.1583  0.3571
F  0.9252  0.1896  0.8823
F  0.5929  0.6592  0.5517
V  0.0000  0.0000  0.0000
F  0.1865  0.3524  0.3050
F  0.5739  0.6497  0.8826
F  0.2730  0.8117  0.9732
F  0.4071  0.3408  0.4483
F  0.5909  0.6626  0.2186
F  0.3103  0.8417  0.6429
F  0.7270  0.1883  0.0268
F  0.9082  0.1431  0.2189
F  0.1867  0.3528  0.6376
F  0.8133  0.6472  0.3624
F  0.4261  0.3503  0.1174
F  0.6902  0.1576  0.6901
F  0.3098  0.8424  0.3099
F  0.0920  0.8566  0.4481
F  0.8135  0.6476  0.6950
V  0.9999  0.0005  0.3332
V  0.5001  0.5005  0.3332
O  0.2316  0.2863  0.9873
O  0.7684  0.7137  0.0127
V  0.0001  0.9995  0.6668
F  0.0748  0.8104  0.1177
V  0.5000  0.5000  0.0000
F  0.0918  0.8569  0.7811
V  0.4999  0.4995  0.6668
F  0.9080  0.1434  0.5519
F  0.4091  0.3374  0.7814

---

[6]
## Li4Mn2Ni5O12 (GGA+U)

Data for a geometry-optimized Li4Mn2Ni5O12 structure.

Calculated values
SG   P2_1 (4)
Final energy   -254.69 eV for the cell shown
Formation energy from the elements   -37.4 eV/f.u.

abc: 5.0032 8.8278 9.7366
angles: 90.00 100.34 90.00
Sites, in units of the cell vectors:
O  0.8753  0.9087  0.3657
O  0.6177  0.0972  0.1309
Ni  0.7565  0.7593  0.5063
Mn  0.5010  0.7546  0.7525
Mn  0.9987  0.7505  0.2527
Li  0.0062  0.9160  0.7488
Ni  0.0011  0.0800  0.2535
O  0.3884  0.0994  0.3647
O  0.8823  0.5972  0.3691
O  0.1116  0.5994  0.1353
Li  0.7516  0.0759  0.5067
Ni  0.2390  0.7492  0.9951
Ni  0.4989  0.5800  0.2465
O  0.6426  0.6010  0.6347
Ni  0.2610  0.2492  0.5049
O  0.1302  0.2401  0.1383
O  0.1133  0.9058  0.1330
O  0.3597  0.5998  0.8623
Li  0.7485  0.9159  0.9931
O  0.8680  0.2491  0.3640
O  0.6470  0.2458  0.6277
O  0.8530  0.7458  0.8723
O  0.3689  0.2323  0.8591
O  0.1212  0.4038  0.6289
O  0.8781  0.4125  0.8580
O  0.3698  0.7401  0.3617
Ni  0.0021  0.5828  0.7526
O  0.8574  0.1010  0.8653
O  0.6320  0.7491  0.1360
O  0.1403  0.0998  0.6377
O  0.6219  0.9125  0.6420
Mn  0.5013  0.2505  0.2473
O  0.6247  0.4087  0.1343
Ni  0.4979  0.0828  0.7474
O  0.3867  0.4058  0.3670
O  0.3788  0.9038  0.8711
Li  0.7484  0.5759  0.9933
Li  0.2467  0.0864  0.9940
Li  0.2533  0.5864  0.5060
Ni  0.7435  0.2593  0.9937
O  0.1311  0.7323  0.6409
Mn  0.9990  0.2546  0.7475
Ni  0.0047  0.4183  0.2487
Li  0.4938  0.4160  0.7512
Ni  0.4953  0.9183  0.2513
Li  0.7515  0.4159  0.5069